Entry 1:
DFT (GGA-PBE) results for ZrAlN2 after structural relaxation.

Structure (extended XYZ):
```
4
Lattice="3.137 0.000 0.000 0.000 3.137 0.000 0.000 0.000 4.482" Properties=species:S:1:pos:R:3 pbc="T T T"
Zr 0.000 0.000 0.000
Al 1.569 1.569 2.241
N 0.000 0.000 2.241
N 1.569 1.569 0.000
```

Calculated values
Crystal system: tetragonal
E_tot, eV for the cell shown: -33.2
Total magnetization, μB/f.u.: 0.0
SG: No. 123

Entry 2:
DFT (GGA-PBE) results for Zr2AlN after structural relaxation.

Structure (extended XYZ):
```
8
Lattice="3.262 0.000 0.000 -1.631 2.825 0.000 0.000 0.000 14.428" Properties=species:S:1:pos:R:3 pbc="T T T"
Zr 0.000 1.883 1.285
Zr 0.000 1.883 5.929
Zr 1.631 0.942 8.499
Zr 1.631 0.942 13.143
Al 0.000 1.883 10.821
Al 1.631 0.942 3.607
N 0.000 0.000 0.000
N 0.000 0.000 7.214
```

Calculated values
Crystal system: hexagonal
E_tot, eV for the cell shown: -67.0
Total magnetization, μB/f.u.: 0.0
SG: No. 194

Entry 3:
DFT (GGA-PBE) results for Na3Al after structural relaxation.

Structure (extended XYZ):
```
4
Lattice="0.000 3.833 3.833 3.833 0.000 3.833 3.833 3.833 0.000" Properties=species:S:1:pos:R:3 pbc="T T T"
Na 0.000 0.000 0.000
Na 1.917 1.917 1.917
Na 5.750 5.750 5.750
Al 3.833 3.833 3.833
```

Calculated values
Crystal system: cubic
E_tot, eV for the cell shown: -7.0
Total magnetization, μB/f.u.: 0.0
SG: No. 225